Compound: TlNi4P3O12
Source: the Materials Project
Functional: PBE+U
Structure: relaxed

Output
- E_form: -2.04 eV/atom
- Total moment: 0.4000 μB per atom
- Electronic total energy: -6.178 eV/atom

a b c (Å): 8.7527 8.7527 9.7684
angles (deg): 90.00 90.00 137.65
Last column: nearest neighbours and their distance in Å.
Fractional positions:
P1 0.5338 0.4662 0.4874  4 O 1.51-1.59
Ni1 0.0470 0.4539 0.9981  5 O 2.03-2.13
O1 0.0483 0.3654 0.3310  1 P 1.54
O2 0.9517 0.6346 0.8310  1 P 1.54
O3 0.2252 0.3935 0.0526  1 P 1.59
O4 0.3654 0.0483 0.8310  1 P 1.54
Ni2 0.3782 0.6218 0.6976  5 O 1.95-2.15
O5 0.9385 0.6687 0.1653  1 P 1.51
O6 0.0615 0.3313 0.6653  1 P 1.51
Ni3 0.4539 0.0470 0.4981  5 O 2.03-2.13
O7 0.4450 0.5550 0.5317  1 P 1.51
O8 0.5292 0.4708 0.3295  1 P 1.54
O9 0.7111 0.2889 0.3592  1 P 1.61
P2 0.2004 0.7996 0.7862  4 O 1.54-1.61
Tl1 0.0262 0.9738 0.9647  6 O 2.79-2.92
Ni4 0.6201 0.3799 0.7335  5 O 2.06-2.22
Ni5 0.9530 0.5461 0.4981  5 O 2.03-2.13
O10 0.2680 0.7320 0.1359  1 P 1.62
P3 0.8202 0.1798 0.7117  4 O 1.51-1.62
O11 0.2889 0.7111 0.8592  1 P 1.61
O12 0.7808 0.2192 0.1286  1 P 1.57
Ni6 0.3799 0.6201 0.2335  5 O 2.06-2.22
O13 0.2192 0.7808 0.6286  1 P 1.57
O14 0.6346 0.9517 0.3310  1 P 1.54
O15 0.3935 0.2252 0.5526  1 P 1.59
Ni7 0.5461 0.9530 0.9981  5 O 2.03-2.13
O16 0.5550 0.4450 0.0317  1 P 1.51
O17 0.1936 0.8064 0.3699  1 P 1.56
O18 0.8064 0.1936 0.8699  1 P 1.56
P4 0.1798 0.8202 0.2117  4 O 1.51-1.62
O19 0.6687 0.9385 0.6653  1 P 1.51
Ni8 0.6218 0.3782 0.1976  5 O 1.95-2.15
P5 0.7996 0.2004 0.2862  4 O 1.54-1.61
Tl2 0.9738 0.0262 0.4647  6 O 2.79-2.92
O20 0.7320 0.2680 0.6359  1 P 1.62
P6 0.4662 0.5338 0.9874  4 O 1.51-1.59
O21 0.6065 0.7748 0.0526  1 P 1.59
O22 0.3313 0.0615 0.1653  1 P 1.51
O23 0.4708 0.5292 0.8295  1 P 1.54
O24 0.7748 0.6065 0.5526  1 P 1.59

=====

Compound: Tl2Ni4P4O15
Source: the Materials Project
Functional: PBE+U
Structure: relaxed

Output
- E_form: -2.14 eV/atom
- Total moment: 0.3200 μB per atom
- Electronic total energy: -6.270 eV/atom

a b c (Å): 8.7532 8.7532 18.4063
angles (deg): 82.09 82.09 106.28
Last column: nearest neighbours and their distance in Å.
Fractional positions:
O1 0.7817 0.3305 0.0615  1 P 1.57
O2 0.0079 0.8887 0.9487  1 P 1.58
Tl1 0.4123 0.8886 0.2999  4 O 2.65-2.88
P1 0.3125 0.0130 0.0979  4 O 1.50-1.66
P2 0.1023 0.2204 0.0975  4 O 1.51-1.62
O3 0.6143 0.1725 0.3068  1 P 1.54
P3 0.8977 0.7796 0.9025  4 O 1.51-1.62
O4 0.6695 0.2183 0.4385  1 P 1.57
O5 0.9006 0.2128 0.5507  1 P 1.57
O6 0.4091 0.2970 0.7673  1 P 1.53
O7 0.3991 0.5424 0.8591  1 P 1.54
P4 0.4422 0.7724 0.6212  4 O 1.54-1.58
Ni1 0.5396 0.4604 0.2500  4 O 2.01
P5 0.7724 0.4422 0.1212  4 O 1.54-1.58
O8 0.7030 0.5909 0.7327  1 P 1.53
Tl2 0.4503 0.6495 0.0512  4 O 2.72-3.02
O9 0.6050 0.9045 0.5796  1 P 1.58
O10 0.1635 0.0398 0.6816  1 P 1.53
Ni2 0.1513 0.0389 0.4325  6 O 2.02-2.21
O11 0.7484 0.0506 0.8187  1 P 1.52
O12 0.7157 0.8391 0.0930  1 P 1.59
O13 0.1725 0.6143 0.8068  1 P 1.54
Ni3 0.0000 0.5000 0.0000  6 O 2.04-2.12
P6 0.7233 0.8398 0.1789  4 O 1.53-1.59
O14 0.2183 0.6695 0.9385  1 P 1.57
O15 0.5084 0.9459 0.9290  1 P 1.50
Ni4 0.5000 0.0000 0.5000  6 O 2.04-2.12
O16 0.8391 0.7157 0.5930  1 P 1.59
O17 0.0541 0.4916 0.5710  1 P 1.50
Tl3 0.6495 0.4503 0.5512  4 O 2.72-3.02
O18 0.8976 0.8297 0.1836  1 P 1.57
O19 0.1703 0.1024 0.3164  1 P 1.57
O20 0.0994 0.7872 0.4493  1 P 1.57
P7 0.7796 0.8977 0.4025  4 O 1.51-1.62
P8 0.1602 0.2767 0.3211  4 O 1.53-1.59
O21 0.9921 0.1113 0.0513  1 P 1.58
Tl4 0.5497 0.3505 0.9488  4 O 2.72-3.02
O22 0.5909 0.7030 0.2327  1 P 1.53
P9 0.9870 0.6875 0.4021  4 O 1.50-1.66
Ni5 0.2699 0.9136 0.9318  6 O 2.02-2.22
O23 0.8365 0.9602 0.3184  1 P 1.53
P10 0.6875 0.9870 0.9021  4 O 1.50-1.66
O24 0.8275 0.3857 0.1932  1 P 1.54
O25 0.1883 0.2756 0.5791  2 P 1.62-1.66
Ni6 0.8487 0.9611 0.5675  6 O 2.02-2.21
P11 0.0130 0.3125 0.5979  4 O 1.50-1.66
O26 0.6009 0.4576 0.1409  1 P 1.54
O27 0.5424 0.3991 0.3591  1 P 1.54
Tl5 0.5877 0.1114 0.7001  4 O 2.65-2.88
Ni7 0.9611 0.8487 0.0675  6 O 2.02-2.21
Tl6 0.3505 0.5497 0.4488  4 O 2.72-3.02
P12 0.2767 0.1602 0.8211  4 O 1.53-1.59
O28 0.4576 0.6009 0.6409  1 P 1.54
Tl7 0.1114 0.5877 0.2001  4 O 2.65-2.88
O29 0.7028 0.0093 0.1875  1 P 1.57
O30 0.2128 0.9006 0.0507  1 P 1.57
P13 0.2204 0.1023 0.5975  4 O 1.51-1.62
O31 0.7872 0.0994 0.9493  1 P 1.57
Ni8 0.0389 0.1513 0.9325  6 O 2.02-2.21
Ni9 0.8279 0.1721 0.2500  6 O 2.01-2.12
O32 0.9907 0.2972 0.3125  1 P 1.57
O33 0.2756 0.1883 0.0791  2 P 1.62-1.66
O34 0.9045 0.6050 0.0796  1 P 1.58
O35 0.1319 0.3992 0.0708  1 P 1.51
P14 0.2276 0.5578 0.8788  4 O 1.54-1.58
O36 0.1113 0.9921 0.5513  1 P 1.58
O37 0.4916 0.0541 0.0710  1 P 1.50
O38 0.0398 0.1635 0.1816  1 P 1.53
O39 0.0093 0.7028 0.6875  1 P 1.57
Ni10 0.7301 0.0864 0.0682  6 O 2.02-2.22
Ni11 0.1721 0.8279 0.7500  6 O 2.01-2.12
O40 0.8681 0.6008 0.9292  1 P 1.51
O41 0.3992 0.1319 0.5708  1 P 1.51
O42 0.3857 0.8275 0.6932  1 P 1.54
P15 0.5578 0.2276 0.3788  4 O 1.54-1.58
O43 0.0506 0.7484 0.3187  1 P 1.52
Ni12 0.4604 0.5396 0.7500  4 O 2.01
Tl8 0.8886 0.4123 0.7999  4 O 2.65-2.88
O44 0.9459 0.5084 0.4290  1 P 1.50
Ni13 0.9536 0.0464 0.7500  6 O 2.06-2.10
O45 0.2516 0.9494 0.1813  1 P 1.52
Ni14 0.9136 0.2699 0.4318  6 O 2.02-2.22
O46 0.2972 0.9907 0.8125  1 P 1.57
O47 0.6008 0.8681 0.4292  1 P 1.51
O48 0.9602 0.8365 0.8184  1 P 1.53
O49 0.7244 0.8117 0.9209  2 P 1.62-1.66
O50 0.8117 0.7244 0.4209  2 P 1.62-1.66
O51 0.8297 0.8976 0.6836  1 P 1.57
O52 0.8887 0.0079 0.4487  1 P 1.58
O53 0.0955 0.3950 0.9204  1 P 1.58
O54 0.9494 0.2516 0.6813  1 P 1.52
O55 0.1609 0.2843 0.4070  1 P 1.59
O56 0.2843 0.1609 0.9070  1 P 1.59
O57 0.2970 0.4091 0.2673  1 P 1.53
Ni15 0.0464 0.9536 0.2500  6 O 2.06-2.10
O58 0.1024 0.1703 0.8164  1 P 1.57
P16 0.8398 0.7233 0.6789  4 O 1.53-1.59
O59 0.3305 0.7817 0.5615  1 P 1.57
O60 0.3950 0.0955 0.4204  1 P 1.58
Ni16 0.0864 0.7301 0.5682  6 O 2.02-2.22

=====

Compound: Tl4Ni7P6O24
Source: the Materials Project
Functional: PBE+U
Structure: relaxed

Output
- E_form: -2.05 eV/atom
- Total moment: 0.3415 μB per atom
- Electronic total energy: -6.119 eV/atom

a b c (Å): 9.0373 9.0373 6.7823
angles (deg): 82.01 82.01 106.23
Last column: nearest neighbours and their distance in Å.
Fractional positions:
Ni1 0.9993 0.9993 0.0003  6 O 2.03-2.14
O1 0.0238 0.6031 0.1396  1 P 1.57
Ni2 0.3823 0.6228 0.9904  6 O 2.07-2.26
O2 0.5635 0.5635 0.1363  1 P 1.58
O3 0.7286 0.2968 0.2149  1 P 1.59
P1 0.3046 0.3046 0.9887  4 O 1.51-1.57
O4 0.0453 0.6616 0.4923  1 P 1.53
O5 0.8065 0.8065 0.1026  1 P 1.52
Tl1 0.7355 0.5064 0.4669  5 O 2.67-2.97
Ni3 0.6379 0.0304 0.8146  6 O 2.07-2.17
P2 0.7004 0.7004 0.9911  4 O 1.52-1.58
O6 0.3979 0.9893 0.8538  1 P 1.56
P3 0.7158 0.1165 0.2667  4 O 1.53-1.59
P4 0.1165 0.7158 0.2667  4 O 1.53-1.59
O7 0.2205 0.3986 0.1205  1 P 1.57
Tl2 0.9181 0.9181 0.5207  6 O 2.73-2.88
Tl3 0.3021 0.3021 0.4954  4 O 2.71-2.96
O8 0.9893 0.3979 0.8538  1 P 1.56
O9 0.6091 0.7898 0.8616  1 P 1.58
O10 0.4356 0.4356 0.8303  1 P 1.57
O11 0.3334 0.9691 0.5009  1 P 1.53
O12 0.1903 0.1903 0.8959  1 P 1.51
Ni4 0.9831 0.3625 0.1744  6 O 2.05-2.18
O13 0.1074 0.8859 0.7998  1 P 1.57
O14 0.9691 0.3334 0.5009  1 P 1.53
O15 0.2968 0.7286 0.2149  1 P 1.59
O16 0.1199 0.8913 0.1988  1 P 1.58
O17 0.7182 0.2780 0.7733  1 P 1.60
O18 0.3986 0.2205 0.1205  1 P 1.57
O19 0.6031 0.0238 0.1396  1 P 1.57
Ni5 0.3625 0.9831 0.1744  6 O 2.05-2.18
Tl4 0.5064 0.7355 0.4669  5 O 2.67-2.97
O20 0.8913 0.1199 0.1988  1 P 1.58
Ni6 0.6228 0.3823 0.9904  6 O 2.07-2.26
P5 0.8990 0.2843 0.7270  4 O 1.53-1.60
Ni7 0.0304 0.6379 0.8146  6 O 2.07-2.17
O21 0.8859 0.1074 0.7998  1 P 1.57
O22 0.6616 0.0453 0.4923  1 P 1.53
O23 0.7898 0.6091 0.8616  1 P 1.58
O24 0.2780 0.7182 0.7733  1 P 1.60
P6 0.2843 0.8990 0.7270  4 O 1.53-1.60

=====

Compound: VNi5P6O24
Source: the Materials Project
Functional: PBE+U
Structure: relaxed

Output
- E_form: -2.11 eV/atom
- Electronic total energy: -6.504 eV/atom

a b c (Å): 8.4589 8.4589 8.4589
angles (deg): 61.15 61.15 61.15
Last column: nearest neighbours and their distance in Å.
Fractional positions:
O1 0.2428 0.4532 0.5975  1 P 1.54
O2 0.4948 0.6765 0.8933  1 P 1.51
O3 0.5179 0.3100 0.1091  1 P 1.51
O4 0.4049 0.7527 0.5645  1 P 1.55
O5 0.1091 0.5179 0.3100  1 P 1.51
P1 0.2498 0.9529 0.5474  4 O 1.51-1.60
O6 0.8251 0.9827 0.6213  1 P 1.60
O7 0.5975 0.2428 0.4532  1 P 1.54
O8 0.8933 0.4948 0.6765  1 P 1.51
O9 0.7494 0.0838 0.9315  1 P 1.60
O10 0.0552 0.2591 0.9115  1 P 1.55
O11 0.6765 0.8933 0.4948  1 P 1.51
O12 0.5645 0.4049 0.7527  1 P 1.55
P2 0.0457 0.4529 0.7489  4 O 1.51-1.60
O13 0.0838 0.9315 0.7494  1 P 1.60
O14 0.9827 0.6213 0.8251  1 P 1.60
O15 0.4532 0.5975 0.2428  1 P 1.54
O16 0.9315 0.7494 0.0838  1 P 1.60
P3 0.9529 0.5474 0.2498  4 O 1.51-1.60
O17 0.1844 0.9891 0.3909  1 P 1.52
O18 0.2591 0.9115 0.0552  1 P 1.55
Ni1 0.3593 0.3593 0.3593  6 O 2.01-2.13
Ni2 0.5010 0.5010 0.5010  6 O 2.10-2.12
O19 0.9115 0.0552 0.2591  1 P 1.55
O20 0.6213 0.8251 0.9827  1 P 1.60
Ni3 0.1432 0.1432 0.1432  6 O 1.96-2.05
V1 0.8545 0.8545 0.8545  6 O 1.81-1.99
Ni4 0.6416 0.6416 0.6416  6 O 1.97-2.04
P4 0.5474 0.2498 0.9529  4 O 1.51-1.60
P5 0.4529 0.7489 0.0457  4 O 1.51-1.60
Ni5 0.0017 0.0017 0.0017  6 O 2.13-2.19
P6 0.7489 0.0457 0.4529  4 O 1.51-1.60
O21 0.3909 0.1844 0.9891  1 P 1.52
O22 0.3100 0.1091 0.5179  1 P 1.51
O23 0.9891 0.3909 0.1844  1 P 1.52
O24 0.7527 0.5645 0.4049  1 P 1.55

=====

Compound: VNi3P4O16
Source: the Materials Project
Functional: PBE+U
Structure: relaxed

Output
- E_form: -2.17 eV/atom
- Total moment: 0.2083 μB per atom
- Electronic total energy: -6.629 eV/atom

a b c (Å): 5.7975 4.8237 9.9110
angles (deg): 89.06 90.00 90.00
Last column: nearest neighbours and their distance in Å.
Fractional positions:
P1 0.5000 0.3933 0.9053  4 O 1.48-1.59
O1 0.3007 0.2403 0.8251  1 P 1.59
Ni1 0.0000 0.4614 0.7730  4 O 1.96-2.10
O2 0.2114 0.7960 0.6755  1 P 1.63
O3 0.5000 0.1443 0.5628  1 P 1.64, 1 V 1.79
P2 0.0000 0.5955 0.0971  4 O 1.53-1.57
O4 0.7886 0.7960 0.6755  1 P 1.63
O5 0.7077 0.2353 0.3370  1 P 1.55
O6 0.0000 0.6584 0.9449  1 P 1.53
O7 0.6993 0.2403 0.8251  1 P 1.59
P3 0.5000 0.0797 0.4005  4 O 1.50-1.64
O8 0.0000 0.8264 0.4499  1 P 1.50
O9 0.0000 0.2452 0.6061  1 P 1.50
V1 0.5000 0.9719 0.7247  4 O 1.79-1.94
O10 0.0000 0.2784 0.1117  1 P 1.53
O11 0.5000 0.3412 0.0527  1 P 1.48
O12 0.5000 0.7066 0.8656  1 P 1.56
Ni2 0.5000 0.5380 0.2325  6 O 1.99-2.15
P4 0.0000 0.9356 0.5907  4 O 1.50-1.63
Ni3 0.0000 0.0308 0.2720  6 O 1.97-2.12
O13 0.2923 0.2353 0.3370  1 P 1.55
O14 0.5000 0.7697 0.3972  1 P 1.50
O15 0.2069 0.7403 0.1690  1 P 1.57
O16 0.7931 0.7403 0.1690  1 P 1.57

=====

Compound: V5NiP6O24
Source: the Materials Project
Functional: PBE+U
Structure: relaxed

Output
- E_form: -2.55 eV/atom
- Total moment: 0.3056 μB per atom
- Electronic total energy: -7.412 eV/atom

a b c (Å): 8.4998 8.6182 8.6182
angles (deg): 60.00 59.54 59.54
Last column: nearest neighbours and their distance in Å.
Fractional positions:
O1 0.2165 0.0937 0.7500  1 P 1.59
O2 0.7880 0.2560 0.0531  1 P 1.55
P1 0.2518 0.9554 0.2486  4 O 1.49-1.59
P2 0.2518 0.5441 0.9554  4 O 1.49-1.59
Ni1 0.5690 0.1437 0.1437  6 O 1.99-2.15
O3 0.5675 0.6127 0.0040  1 P 1.52
O4 0.9298 0.8883 0.6725  1 P 1.54
V1 0.9301 0.3566 0.3566  6 O 1.93-2.06
O5 0.5675 0.8157 0.6127  1 P 1.52
V2 0.4976 0.5008 0.5008  6 O 2.16
O6 0.2686 0.7525 0.4090  1 P 1.59
O7 0.2165 0.7500 0.9399  1 P 1.59
P3 0.7506 0.7496 0.4556  4 O 1.52-1.57
O8 0.9298 0.5094 0.8883  1 P 1.54
O9 0.7880 0.9029 0.2560  1 P 1.55
O10 0.0689 0.5007 0.1131  1 P 1.53
O11 0.4378 0.9849 0.1819  1 P 1.49
O12 0.7245 0.2459 0.5917  1 P 1.57
O13 0.2686 0.4090 0.5699  1 P 1.59
O14 0.0689 0.3172 0.5007  1 P 1.53
O15 0.2686 0.5699 0.7525  1 P 1.59
V3 0.9945 0.0018 0.0018  6 O 2.09-2.13
O16 0.7245 0.4379 0.2459  1 P 1.57
O17 0.7880 0.0531 0.9029  1 P 1.55
P4 0.2518 0.2486 0.5441  4 O 1.49-1.59
V4 0.0693 0.6436 0.6436  6 O 1.90-2.02
O18 0.7245 0.5917 0.4379  1 P 1.57
V5 0.4270 0.8577 0.8577  6 O 1.94-2.08
P5 0.7506 0.0442 0.7496  4 O 1.52-1.57
O19 0.2165 0.9399 0.0937  1 P 1.59
O20 0.5675 0.0040 0.8157  1 P 1.52
P6 0.7506 0.4556 0.0442  4 O 1.52-1.57
O21 0.0689 0.1131 0.3172  1 P 1.53
O22 0.4378 0.3954 0.9849  1 P 1.49
O23 0.4378 0.1819 0.3954  1 P 1.49
O24 0.9298 0.6725 0.5094  1 P 1.54

=====

Compound: V3NiP6O24
Source: the Materials Project
Functional: PBE+U
Structure: relaxed

Output
- E_form: -2.39 eV/atom
- Total moment: 0.0294 μB per atom
- Electronic total energy: -7.100 eV/atom

a b c (Å): 8.7602 8.7602 8.7602
angles (deg): 58.49 58.49 58.49
Last column: nearest neighbours and their distance in Å.
Fractional positions:
O1 0.4223 0.5765 0.7836  1 P 1.56
P1 0.2503 0.5310 0.9678  4 O 1.50-1.57
V1 0.8606 0.8606 0.8606  6 O 1.87-1.93
O2 0.5043 0.1434 0.2757  1 P 1.55
O3 0.0047 0.7762 0.6442  1 P 1.55
O4 0.5687 0.4439 0.2148  1 P 1.57
O5 0.6442 0.0047 0.7762  1 P 1.55
V2 0.3608 0.3608 0.3608  6 O 1.86-1.94
O6 0.0707 0.7147 0.9417  1 P 1.57
O7 0.8619 0.7083 0.5068  1 P 1.55
Ni1 0.1418 0.1418 0.1418  6 O 2.01
O8 0.5765 0.7836 0.4223  1 P 1.56
O9 0.2874 0.0497 0.9197  1 P 1.50
P2 0.5310 0.9678 0.2503  4 O 1.50-1.57
O10 0.2757 0.5043 0.1434  1 P 1.55
P3 0.4678 0.0324 0.7508  4 O 1.50-1.57
O11 0.7083 0.5068 0.8619  1 P 1.55
O12 0.4439 0.2148 0.5687  1 P 1.57
O13 0.2381 0.3620 0.9762  1 P 1.50
P4 0.9678 0.2503 0.5310  4 O 1.50-1.57
O14 0.9762 0.2381 0.3620  1 P 1.50
P5 0.0324 0.7508 0.4678  4 O 1.50-1.57
O15 0.0497 0.9197 0.2874  1 P 1.50
O16 0.7762 0.6442 0.0047  1 P 1.55
O17 0.1434 0.2757 0.5043  1 P 1.55
V3 0.6410 0.6410 0.6410  6 O 1.86-1.89
O18 0.9417 0.0707 0.7147  1 P 1.57
O19 0.7836 0.4223 0.5765  1 P 1.56
O20 0.7147 0.9417 0.0707  1 P 1.57
O21 0.3620 0.9762 0.2381  1 P 1.50
O22 0.2148 0.5687 0.4439  1 P 1.57
O23 0.5068 0.8619 0.7083  1 P 1.55
O24 0.9197 0.2874 0.0497  1 P 1.50
P6 0.7508 0.4678 0.0324  4 O 1.50-1.57

=====

Compound: V3Ni2P6WO24
Source: the Materials Project
Functional: PBE+U
Structure: relaxed

Output
- E_form: -2.49 eV/atom
- Total moment: 0.3045 μB per atom
- Electronic total energy: -7.263 eV/atom

a b c (Å): 8.5545 8.6976 8.6976
angles (deg): 60.00 59.45 59.45
Last column: nearest neighbours and their distance in Å.
Fractional positions:
O1 0.5655 0.8172 0.6115  1 P 1.52
O2 0.2804 0.4067 0.5556  1 P 1.55
V1 0.9245 0.3585 0.3585  6 O 1.98-2.05
O3 0.5655 0.0058 0.8172  1 P 1.52
O4 0.4329 0.9988 0.1786  1 P 1.58
O5 0.7674 0.0648 0.9098  1 P 1.61
O6 0.4329 0.3897 0.9988  1 P 1.58
V2 0.0751 0.6416 0.6416  6 O 1.99-2.09
O7 0.0692 0.3184 0.5026  1 P 1.51
O8 0.0692 0.1098 0.3184  1 P 1.51
O9 0.7245 0.2447 0.5928  1 P 1.56
P1 0.2455 0.5491 0.9530  4 O 1.51-1.58
O10 0.9328 0.8893 0.6873  1 P 1.51
O11 0.2268 0.0915 0.7429  1 P 1.56
O12 0.7674 0.9098 0.2579  1 P 1.61
P2 0.7486 0.7455 0.4603  4 O 1.51-1.61
O13 0.7245 0.4380 0.2447  1 P 1.56
O14 0.7245 0.5928 0.4380  1 P 1.56
W1 0.5725 0.1425 0.1425  6 O 1.96-2.03
O15 0.7674 0.2579 0.0648  1 P 1.61
P3 0.7486 0.0457 0.7455  4 O 1.51-1.61
O16 0.9328 0.6873 0.4905  1 P 1.51
O17 0.5655 0.6115 0.0058  1 P 1.52
P4 0.2455 0.2523 0.5491  4 O 1.51-1.58
O18 0.0692 0.5026 0.1098  1 P 1.51
P5 0.2455 0.9530 0.2523  4 O 1.51-1.58
P6 0.7486 0.4603 0.0457  4 O 1.51-1.61
O19 0.2804 0.5556 0.7572  1 P 1.55
O20 0.9328 0.4905 0.8893  1 P 1.51
O21 0.2268 0.7429 0.9388  1 P 1.56
Ni1 0.0152 0.9949 0.9949  6 O 2.11-2.29
O22 0.2804 0.7572 0.4067  1 P 1.55
Ni2 0.5015 0.4995 0.4995  6 O 2.16
O23 0.2268 0.9388 0.0915  1 P 1.56
O24 0.4329 0.1786 0.3897  1 P 1.58
V3 0.4297 0.8568 0.8568  6 O 1.96-2.07